Material: Dy2W2O9
Method: DFT, GGA+U
State: optimized geometry

Unit cell a=6.725 b=7.119 c=7.413 alpha=70.35 beta=84.80 gamma=82.94
Atoms (fractional coordinates):
Dy1 0.116 0.282 0.378
Dy2 0.348 0.741 0.845
Dy3 0.652 0.259 0.155
Dy4 0.884 0.718 0.622
W1 0.229 0.266 0.943
W2 0.341 0.791 0.366
W3 0.659 0.209 0.634
W4 0.771 0.734 0.057
O1 0.005 0.769 0.906
O2 0.134 0.639 0.378
O3 0.167 0.504 0.751
O4 0.184 0.913 0.537
O5 0.236 0.071 0.831
O6 0.315 0.429 0.091
O7 0.356 0.068 0.210
O8 0.460 0.304 0.462
O9 0.465 0.734 0.141
O10 0.535 0.266 0.859
O11 0.540 0.696 0.538
O12 0.644 0.932 0.790
O13 0.685 0.571 0.909
O14 0.764 0.929 0.169
O15 0.816 0.087 0.463
O16 0.833 0.496 0.249
O17 0.866 0.361 0.622
O18 0.995 0.231 0.094

## Properties
Its space group is P-1. For the formation energy, the calculation gives -37.655 eV per formula unit. The calculated total energy is -102.3 eV/f.u. The calculated volume is 331 Å³/cell.